Record 1
DFT (r2SCAN) results for a relaxed structure of NiC2N2.

a = 13.765 Å, b = 2.985 Å, c = 6.230 Å
α = 90.00°, β = 90.00°, γ = 90.00°
Fractional coordinates of all 20 atoms:
Ni 0.636 0.250 0.472
Ni 0.136 0.250 0.028
Ni 0.364 0.750 0.528
Ni 0.864 0.750 0.972
C 0.791 0.250 0.129
C 0.291 0.250 0.371
C 0.209 0.750 0.871
C 0.709 0.750 0.629
C 0.951 0.250 0.827
C 0.451 0.250 0.673
C 0.049 0.750 0.173
C 0.549 0.750 0.327
N 0.536 0.250 0.688
N 0.036 0.250 0.812
N 0.464 0.750 0.312
N 0.964 0.750 0.188
N 0.729 0.250 0.259
N 0.229 0.250 0.241
N 0.271 0.750 0.741
N 0.771 0.750 0.759

## Properties
Symmetry ... No. 62
Formation energy ... 0.59 eV/atom

***

Record 2
DFT (r2SCAN) results for a relaxed structure of Yb2CN2O2.

a = 3.610 Å, b = 3.610 Å, c = 8.071 Å
α = 90.00°, β = 90.00°, γ = 120.00°
Fractional coordinates of all 7 atoms:
Yb 0.667 0.333 0.825
Yb 0.333 0.667 0.175
C 0.000 0.000 0.500
N 0.000 0.000 0.652
N 0.000 0.000 0.348
O 0.333 0.667 0.898
O 0.667 0.333 0.102

## Properties
Symmetry ... No. 164
Formation energy ... -2.50 eV/atom

***

Record 3
DFT (r2SCAN) results for a relaxed structure of PbCN2.

a = 3.861 Å, b = 5.544 Å, c = 12.014 Å
α = 90.00°, β = 90.00°, γ = 90.00°
Fractional coordinates of all 16 atoms:
Pb 0.250 0.387 0.634
Pb 0.750 0.613 0.366
Pb 0.250 0.887 0.866
Pb 0.750 0.113 0.134
C 0.250 0.119 0.401
C 0.750 0.881 0.599
C 0.250 0.619 0.099
C 0.750 0.381 0.901
N 0.750 0.174 0.940
N 0.250 0.826 0.060
N 0.750 0.674 0.560
N 0.250 0.326 0.440
N 0.750 0.580 0.857
N 0.250 0.420 0.143
N 0.750 0.080 0.643
N 0.250 0.920 0.357

## Properties
Symmetry ... No. 62
Formation energy ... 0.04 eV/atom

***

Record 4
DFT (r2SCAN) results for a relaxed structure of RbC2N3.

a = 12.306 Å, b = 3.882 Å, c = 25.578 Å
α = 80.66°, β = 90.00°, γ = 90.00°
Fractional coordinates of all 72 atoms:
Rb 0.150 0.519 0.014
Rb 0.092 0.560 0.400
Rb 0.592 0.440 0.100
Rb 0.408 0.560 0.900
Rb 0.512 0.566 0.256
Rb 0.908 0.440 0.600
Rb 0.850 0.481 0.986
Rb 0.350 0.519 0.514
Rb 0.488 0.434 0.744
Rb 0.650 0.481 0.486
Rb 0.988 0.566 0.756
Rb 0.012 0.434 0.244
C 0.326 0.988 0.122
C 0.245 0.101 0.792
C 0.826 0.012 0.378
C 0.000 0.072 0.901
C 0.790 0.967 0.293
C 0.174 0.988 0.622
C 0.000 0.928 0.099
C 0.129 0.975 0.535
C 0.255 0.101 0.292
C 0.371 0.975 0.035
C 0.349 0.984 0.650
C 0.151 0.984 0.150
C 0.755 0.899 0.208
C 0.674 0.012 0.878
C 0.710 0.967 0.793
C 0.210 0.033 0.707
C 0.629 0.025 0.965
C 0.745 0.899 0.708
C 0.651 0.016 0.350
C 0.871 0.025 0.465
C 0.500 0.928 0.599
C 0.500 0.072 0.401
C 0.849 0.016 0.850
C 0.290 0.033 0.207
N 0.682 0.985 0.301
N 0.827 0.930 0.244
N 0.866 0.982 0.330
N 0.220 0.970 0.109
N 0.455 0.108 0.441
N 0.305 0.138 0.827
N 0.849 0.027 0.510
N 0.134 0.018 0.670
N 0.959 0.032 0.856
N 0.182 0.015 0.199
N 0.403 0.979 0.083
N 0.597 0.021 0.917
N 0.349 0.973 0.990
N 0.097 0.979 0.583
N 0.318 0.015 0.699
N 0.651 0.027 0.010
N 0.695 0.862 0.173
N 0.280 0.970 0.609
N 0.955 0.892 0.059
N 0.366 0.018 0.170
N 0.173 0.070 0.756
N 0.818 0.985 0.801
N 0.780 0.030 0.891
N 0.459 0.968 0.644
N 0.634 0.982 0.830
N 0.045 0.108 0.941
N 0.541 0.032 0.356
N 0.327 0.070 0.256
N 0.195 0.138 0.327
N 0.151 0.973 0.490
N 0.805 0.862 0.673
N 0.720 0.030 0.391
N 0.041 0.968 0.144
N 0.545 0.892 0.559
N 0.903 0.021 0.417
N 0.673 0.930 0.744

## Properties
Symmetry ... No. 14
Formation energy ... -0.27 eV/atom